The following is a PBE with a Hubbard U calculation of MoPNCl6O after structural relaxation, from the Materials Project.

POSCAR file:
```
MoPNCl6O
1.0
15.139 0.000 0.000
0.000 12.075 0.000
0.000 6.781 12.176
O Cl N P Mo
8 48 8 8 8
direct
0.714 0.188 0.989 O
0.786 0.188 0.489 O
0.662 0.640 0.599 O
0.214 0.812 0.511 O
0.286 0.812 0.011 O
0.162 0.360 0.901 O
0.338 0.360 0.401 O
0.838 0.640 0.099 O
0.033 0.550 0.102 Cl
0.467 0.550 0.602 Cl
0.787 0.673 0.425 Cl
0.096 0.595 0.590 Cl
0.027 0.296 0.759 Cl
0.808 0.110 0.829 Cl
0.341 0.995 0.311 Cl
0.663 0.541 0.179 Cl
0.806 0.899 0.564 Cl
0.458 0.868 0.899 Cl
0.904 0.405 0.410 Cl
0.841 0.005 0.189 Cl
0.958 0.132 0.601 Cl
0.337 0.459 0.821 Cl
0.308 0.890 0.671 Cl
0.287 0.327 0.075 Cl
0.205 0.594 0.907 Cl
0.943 0.807 0.877 Cl
0.692 0.110 0.329 Cl
0.557 0.807 0.377 Cl
0.213 0.327 0.575 Cl
0.295 0.594 0.407 Cl
0.057 0.193 0.123 Cl
0.443 0.193 0.623 Cl
0.194 0.101 0.436 Cl
0.042 0.868 0.399 Cl
0.837 0.541 0.679 Cl
0.533 0.450 0.398 Cl
0.404 0.595 0.090 Cl
0.159 0.995 0.811 Cl
0.564 0.183 0.856 Cl
0.064 0.817 0.644 Cl
0.694 0.899 0.064 Cl
0.659 0.005 0.689 Cl
0.936 0.183 0.356 Cl
0.192 0.890 0.171 Cl
0.527 0.704 0.741 Cl
0.473 0.296 0.259 Cl
0.973 0.704 0.241 Cl
0.713 0.673 0.925 Cl
0.795 0.406 0.093 Cl
0.967 0.450 0.898 Cl
0.436 0.817 0.144 Cl
0.542 0.132 0.101 Cl
0.596 0.405 0.910 Cl
0.306 0.101 0.936 Cl
0.705 0.406 0.593 Cl
0.163 0.459 0.321 Cl
0.896 0.899 0.035 N
0.396 0.101 0.465 N
0.104 0.101 0.965 N
0.922 0.162 0.974 N
0.422 0.838 0.526 N
0.604 0.899 0.535 N
0.578 0.162 0.474 N
0.078 0.838 0.026 N
0.736 0.575 0.576 P
0.764 0.575 0.076 P
0.236 0.425 0.924 P
0.264 0.425 0.424 P
0.882 0.220 0.468 P
0.382 0.780 0.032 P
0.618 0.220 0.968 P
0.118 0.780 0.532 P
0.984 0.751 0.057 Mo
0.016 0.249 0.943 Mo
0.484 0.249 0.443 Mo
0.175 0.984 0.982 Mo
0.675 0.016 0.518 Mo
0.516 0.751 0.557 Mo
0.325 0.984 0.482 Mo
0.825 0.016 0.018 Mo
```

* calculated density: 2.21 g/cm3
* magnetic moment: 0.0 μB per formula unit
* energy of formation from the pure elements: -0.7705 eV per atom

The following is a PBE with a Hubbard U calculation of SmMoClO4 after structural relaxation, from the Materials Project.

POSCAR file:
```
SmMoClO4
1.0
3.738 5.235 0.000
-3.738 5.235 0.000
0.000 2.027 6.707
O Mo Sm Cl
8 2 2 2
direct
0.490 0.116 0.151 O
0.293 0.293 0.531 O
0.510 0.884 0.849 O
0.707 0.707 0.469 O
0.460 0.460 0.793 O
0.884 0.510 0.849 O
0.116 0.490 0.151 O
0.540 0.540 0.207 O
0.363 0.363 0.268 Mo
0.637 0.637 0.732 Mo
0.778 0.778 0.113 Sm
0.222 0.222 0.887 Sm
0.989 0.989 0.765 Cl
0.011 0.011 0.235 Cl
```

* calculated density: 4.37 g/cm3
* magnetic moment: 0.0 μB per formula unit
* energy of formation from the pure elements: -2.5935 eV per atom

The following is a PBE with a Hubbard U calculation of Ba2Y2MgFe4O10 after structural relaxation, from the Materials Project.

POSCAR file:
```
Ba2Y2MgFe4O10
1.0
-1.957 -2.679 -1.838
1.689 -6.436 7.580
-6.454 2.342 3.459
O Ba Fe Y Mg
10 2 4 2 1
direct
0.500 0.581 0.498 O
0.000 0.739 0.735 O
0.000 0.369 0.772 O
0.500 0.001 0.269 O
0.500 0.230 0.026 O
0.000 0.442 0.190 O
0.000 0.744 0.255 O
0.500 0.297 0.476 O
0.500 0.041 0.740 O
0.500 0.710 0.991 O
0.000 0.954 0.002 Ba
0.000 0.959 0.519 Ba
0.500 0.189 0.271 Fe
0.500 0.237 0.742 Fe
0.500 0.699 0.705 Fe
0.500 0.714 0.304 Fe
0.000 0.440 0.482 Y
0.000 0.608 0.011 Y
0.000 0.306 0.014 Mg
```

* calculated density: 4.86 g/cm3
* magnetic moment: 16.0 μB per formula unit
* energy of formation from the pure elements: -2.4226 eV per atom

The following is a PBE with a Hubbard U calculation of MgFeSb4O12 after structural relaxation, from the Materials Project.

POSCAR file:
```
MgFeSb4O12
1.0
5.526 -0.160 -0.089
5.956 9.078 -0.172
5.975 6.083 4.202
O Sb Mg Fe
12 4 1 1
direct
0.362 0.805 0.121 O
0.099 0.823 0.725 O
0.853 0.707 0.211 O
0.643 0.199 0.838 O
0.690 0.880 0.360 O
0.218 0.632 0.606 O
0.147 0.267 0.797 O
0.335 0.289 0.124 O
0.750 0.367 0.366 O
0.280 0.112 0.623 O
0.623 0.713 0.845 O
0.845 0.176 0.263 O
0.979 0.503 0.982 Sb
0.475 0.999 0.487 Sb
0.992 0.995 0.993 Sb
0.497 0.502 0.482 Sb
0.683 0.999 0.707 Mg
0.277 0.026 0.219 Fe
```

* calculated density: 5.67 g/cm3
* magnetic moment: 4.0 μB per formula unit
* energy of formation from the pure elements: -1.8903 eV per atom

The following is a PBE with a Hubbard U calculation of NaAl6Fe3Si6B3H3O30F after structural relaxation, from the Materials Project.

POSCAR file:
```
NaAl6Fe3Si6B3H3O30F
1.0
2.707 7.038 5.928
-5.597 2.943 -7.212
-3.261 -7.819 4.498
O Al H Fe Si B F Na
30 6 3 3 6 3 1 1
direct
0.364 0.793 0.079 O
0.793 0.079 0.364 O
0.993 0.993 0.273 O
0.528 0.342 0.528 O
0.585 0.969 0.765 O
0.364 0.079 0.793 O
0.168 0.503 0.652 O
0.342 0.528 0.528 O
0.793 0.364 0.079 O
0.765 0.585 0.969 O
0.782 0.376 0.376 O
0.079 0.364 0.793 O
0.652 0.503 0.168 O
0.765 0.969 0.585 O
0.585 0.765 0.969 O
0.168 0.652 0.503 O
0.652 0.168 0.503 O
0.160 0.881 0.160 O
0.160 0.160 0.881 O
0.273 0.993 0.993 O
0.376 0.782 0.376 O
0.079 0.793 0.364 O
0.969 0.765 0.585 O
0.503 0.652 0.168 O
0.503 0.168 0.652 O
0.376 0.376 0.782 O
0.528 0.528 0.342 O
0.993 0.273 0.993 O
0.969 0.585 0.765 O
0.881 0.160 0.160 O
0.349 0.906 0.573 Al
0.906 0.573 0.349 Al
0.906 0.349 0.573 Al
0.573 0.349 0.906 Al
0.573 0.906 0.349 Al
0.349 0.573 0.906 Al
0.245 0.643 0.245 H
0.245 0.245 0.643 H
0.643 0.245 0.245 H
0.744 0.577 0.577 Fe
0.577 0.577 0.744 Fe
0.577 0.744 0.577 Fe
0.994 0.805 0.188 Si
0.805 0.994 0.188 Si
0.994 0.188 0.805 Si
0.188 0.994 0.805 Si
0.805 0.188 0.994 Si
0.188 0.805 0.994 Si
0.227 0.560 0.560 B
0.560 0.560 0.227 B
0.560 0.227 0.560 B
0.849 0.849 0.849 F
0.219 0.219 0.219 Na
```

* calculated density: 3.23 g/cm3
* magnetic moment: 12.0 μB per formula unit
* energy of formation from the pure elements: -2.8922 eV per atom

The following is a PBE with a Hubbard U calculation of Li2Mn4OF8 after structural relaxation, from the Materials Project.

POSCAR file:
```
Li2Mn4OF8
1.0
8.275 0.000 0.000
0.114 10.090 0.000
0.092 4.129 9.619
Mn F O Li
16 32 4 8
direct
0.183 0.821 0.027 Mn
0.238 0.162 0.033 Mn
0.776 0.955 0.486 Mn
0.460 0.032 0.825 Mn
0.971 0.430 0.673 Mn
0.843 0.184 0.968 Mn
0.517 0.925 0.191 Mn
0.043 0.551 0.304 Mn
0.702 0.505 0.033 Mn
0.180 0.013 0.491 Mn
0.310 0.501 0.992 Mn
0.761 0.841 0.927 Mn
0.277 0.698 0.493 Mn
0.358 0.307 0.543 Mn
0.756 0.310 0.462 Mn
0.639 0.686 0.447 Mn
0.767 0.384 0.806 F
0.243 0.590 0.168 F
0.168 0.463 0.496 F
0.631 0.147 0.436 F
0.879 0.651 0.921 F
0.526 0.251 0.699 F
0.845 0.530 0.469 F
0.646 0.676 0.104 F
0.008 0.079 0.130 F
0.779 0.293 0.095 F
0.682 0.020 0.999 F
0.094 0.860 0.409 F
0.913 0.244 0.625 F
0.100 0.604 0.671 F
0.358 0.853 0.574 F
0.247 0.104 0.676 F
0.381 0.339 0.913 F
0.491 0.416 0.151 F
0.464 0.551 0.607 F
0.984 0.951 0.908 F
0.140 0.343 0.089 F
0.993 0.921 0.646 F
0.527 0.586 0.873 F
0.959 0.125 0.398 F
0.542 0.428 0.406 F
0.062 0.257 0.853 F
0.289 0.219 0.402 F
0.720 0.740 0.615 F
0.390 0.098 0.214 F
0.995 0.761 0.184 F
0.885 0.414 0.269 F
0.210 0.712 0.890 F
0.340 0.979 0.012 O
0.426 0.729 0.327 O
0.616 0.920 0.766 O
0.719 0.893 0.325 O
0.968 0.256 0.210 Li
0.936 0.898 0.262 Li
0.468 0.593 0.240 Li
0.028 0.722 0.767 Li
0.538 0.415 0.774 Li
0.473 0.224 0.286 Li
0.535 0.773 0.716 Li
0.023 0.067 0.723 Li
```

* calculated density: 3.32 g/cm3
* magnetic moment: 20.0 μB per formula unit
* energy of formation from the pure elements: -2.7841 eV per atom

The following is a PBE with a Hubbard U calculation of NbFeNiO4F2 after structural relaxation, from the Materials Project.

POSCAR file:
```
NbFeNiO4F2
1.0
3.100 0.000 0.000
0.000 4.769 0.030
0.000 0.075 14.245
Nb Fe F Ni O
2 2 4 2 8
direct
0.500 0.512 0.162 Nb
0.500 0.508 0.495 Nb
0.000 0.008 0.326 Fe
0.000 0.009 0.657 Fe
0.000 0.698 0.896 F
0.500 0.198 0.934 F
0.000 0.293 0.767 F
0.500 0.803 0.732 F
0.000 0.997 0.005 Ni
0.500 0.498 0.836 Ni
0.500 0.798 0.069 O
0.000 0.309 0.105 O
0.000 0.693 0.235 O
0.000 0.303 0.439 O
0.000 0.685 0.569 O
0.500 0.189 0.601 O
0.500 0.800 0.403 O
0.500 0.200 0.271 O
```

* calculated density: 4.88 g/cm3
* magnetic moment: 7.0 μB per formula unit
* energy of formation from the pure elements: -2.3875 eV per atom

The following is a PBE with a Hubbard U calculation of Al2FeP2H18O18 after structural relaxation, from the Materials Project.

POSCAR file:
```
Al2FeP2H18O18
1.0
5.254 0.445 0.702
-1.375 -2.235 -6.486
-0.599 11.601 -1.604
O H Fe P Al
18 18 1 2 2
direct
0.757 0.962 0.374 O
0.664 0.305 0.425 O
0.549 0.084 0.223 O
0.243 0.038 0.626 O
0.336 0.695 0.575 O
0.278 0.959 0.391 O
0.451 0.916 0.777 O
0.106 0.283 0.012 O
0.621 0.326 0.880 O
0.136 0.552 0.348 O
0.138 0.287 0.499 O
0.722 0.041 0.609 O
0.862 0.713 0.501 O
0.757 0.500 0.180 O
0.864 0.448 0.652 O
0.894 0.717 0.988 O
0.243 0.500 0.820 O
0.379 0.674 0.120 O
0.533 0.063 0.817 H
0.230 0.537 0.107 H
0.774 0.294 0.640 H
0.618 0.566 0.192 H
0.382 0.434 0.808 H
0.335 0.648 0.819 H
0.467 0.937 0.183 H
0.099 0.342 0.943 H
0.328 0.328 0.483 H
0.672 0.672 0.517 H
0.665 0.352 0.181 H
0.770 0.463 0.893 H
0.463 0.671 0.045 H
0.537 0.329 0.955 H
0.226 0.706 0.360 H
0.017 0.468 0.708 H
0.983 0.532 0.292 H
0.901 0.658 0.057 H
0.000 0.000 0.000 Fe
0.567 0.079 0.362 P
0.433 0.921 0.638 P
0.000 0.500 0.500 Al
0.000 0.000 0.500 Al
```

* calculated density: 1.97 g/cm3
* magnetic moment: 4.0 μB per formula unit
* energy of formation from the pure elements: -1.7354 eV per atom